Entry 1:
Compound: Ta3Zn2Bi3O14
Source: the Materials Project
Functional: GGA-PBE
Structure: relaxed

The value obtained for the MP2020-corrected energy is -0.29019 Ha/atom. The value obtained for the total energy is -0.548 Ry per atom. The formation energy comes out at -2.486 eV/atom.

Geometry as POSCAR:
```
Ta3Zn2Bi3O14
1.0
6.264 -3.781 0.000
6.264 3.781 0.000
3.981 0.000 6.138
Ta O Zn Bi
3 14 2 3
direct
0.500 0.500 0.000
0.500 0.000 0.500
0.000 0.500 0.500
0.406 0.406 0.851
0.893 0.893 0.893
0.571 0.189 0.189
0.811 0.811 0.429
0.189 0.189 0.571
0.594 0.594 0.149
0.851 0.406 0.406
0.149 0.594 0.594
0.107 0.107 0.107
0.189 0.571 0.189
0.594 0.149 0.594
0.811 0.429 0.811
0.429 0.811 0.811
0.406 0.851 0.406
0.000 0.000 0.000
0.500 0.500 0.500
0.500 0.000 0.000
0.000 0.500 0.000
0.000 0.000 0.500
```

Entry 2:
Compound: Tb3Pb
Source: the Materials Project
Functional: GGA-PBE
Structure: relaxed

The value obtained for the total energy is -0.343 Ry per atom. The formation energy comes out at -0.266 eV/atom.

Geometry as POSCAR:
```
Tb3Pb
1.0
-2.369 2.369 5.247
2.369 -2.369 5.247
2.369 2.369 -5.247
Tb Pb
3 1
direct
0.250 0.750 0.500
0.500 0.500 0.000
0.750 0.250 0.500
0.000 0.000 0.000
```

Entry 3:
Compound: Cs2RbGaCl6
Source: the Materials Project
Functional: GGA-PBE
Structure: relaxed

The value obtained for the MP2020-corrected energy is -0.13567 Ha/atom. The value obtained for the total energy is -0.244 Ry per atom. The formation energy comes out at -2.003 eV/atom.

Geometry as POSCAR:
```
Cs2RbGaCl6
1.0
0.000 5.544 5.544
5.544 0.000 5.544
5.544 5.544 0.000
Cl Rb Cs Ga
6 1 2 1
direct
0.217 0.783 0.783
0.217 0.783 0.217
0.783 0.783 0.217
0.783 0.217 0.217
0.783 0.217 0.783
0.217 0.217 0.783
0.500 0.500 0.500
0.250 0.250 0.250
0.750 0.750 0.750
0.000 0.000 0.000
```

Entry 4:
Compound: Ga3Te3Cl
Source: the Materials Project
Functional: GGA-PBE
Structure: relaxed

The value obtained for the MP2020-corrected energy is -0.12963 Ha/atom. The value obtained for the total energy is -0.253 Ry per atom. The formation energy comes out at -0.619 eV/atom.

Geometry as POSCAR:
```
Ga3Te3Cl
1.0
0.743 4.017 0.843
9.341 -0.482 -5.937
-10.128 5.311 -16.367
Te Cl Ga
12 4 12
direct
0.750 0.827 0.999
0.250 0.092 0.367
0.750 0.327 0.501
0.250 0.231 0.692
0.250 0.173 0.001
0.250 0.673 0.499
0.750 0.908 0.633
0.250 0.592 0.133
0.750 0.269 0.192
0.750 0.408 0.867
0.250 0.731 0.808
0.750 0.769 0.308
0.750 0.534 0.666
0.250 0.966 0.166
0.750 0.034 0.834
0.250 0.466 0.334
0.250 0.052 0.600
0.250 0.157 0.134
0.250 0.657 0.366
0.750 0.830 0.506
0.250 0.170 0.494
0.750 0.448 0.100
0.750 0.843 0.866
0.750 0.343 0.634
0.250 0.552 0.900
0.250 0.670 0.006
0.750 0.948 0.400
0.750 0.330 0.994
```